Here is a relaxed structure of LaHoTl2 from the Materials Project. Energies are from meta-GGA r2SCAN.

The calculation puts the formation energy at -483 meV/atom.

The structure belongs to space group Fm-3m (No. 225); the cell edges are 7.740, 7.740 and 7.740 Å and the angles 90.00°, 90.00° and 90.00°. Symmetry generates all atoms from La at (0.000, 0.000, 0.000), Ho at (0.000, 0.000, 0.500) and Tl at (0.250, 0.250, 0.250).

---

Here is a relaxed structure of LiHo2Ru from the Materials Project. Energies are from meta-GGA r2SCAN.

The calculation puts the formation energy at -310 meV/atom.

The structure belongs to space group Fm-3m (No. 225); the cell edges are 6.875, 6.875 and 6.875 Å and the angles 90.00°, 90.00° and 90.00°. Symmetry generates all atoms from Li at (0.000, 0.000, 0.000), Ho at (0.250, 0.250, 0.250) and Ru at (0.000, 0.000, 0.500).

---

Here is a relaxed structure of LiHoS2 from the Materials Project. Energies are from meta-GGA r2SCAN.

The calculation puts the formation energy at -2121 meV/atom.

The structure belongs to space group R-3m (No. 166, hexagonal axes); the cell edges are 3.8805, 3.8805 and 18.4027 Å and the angles 90.00°, 90.00° and 120.00°. Symmetry generates all atoms from Li at (0.0000, 0.0000, 0.0000), Ho at (0.0000, 0.0000, 0.5000) and S at (0.0000, 0.0000, 0.2499).

---

Here is a relaxed structure of Li3HoSb2 from the Materials Project. Energies are from meta-GGA r2SCAN.

The calculation puts the formation energy at -963 meV/atom.

The structure belongs to space group P-3m1 (No. 164); the cell edges are 4.5250, 4.5250 and 7.1286 Å and the angles 90.00°, 90.00° and 120.00°. Symmetry generates all atoms from Li at (0.0000, 0.0000, 0.0000), Li at (0.3333, 0.6667, 0.1496), Ho at (0.0000, 0.0000, 0.5000) and Sb at (0.3333, 0.6667, 0.7471).

---

Here is a relaxed structure of HoLuPd2 from the Materials Project. Energies are from meta-GGA r2SCAN.

The calculation puts the formation energy at -971 meV/atom.

The structure belongs to space group Fm-3m (No. 225); the cell edges are 6.880, 6.880 and 6.880 Å and the angles 90.00°, 90.00° and 90.00°. Symmetry generates all atoms from Ho at (0.000, 0.000, 0.000), Lu at (0.000, 0.000, 0.500) and Pd at (0.250, 0.250, 0.250).

---

Here is a relaxed structure of Ho3Mg from the Materials Project. Energies are from meta-GGA r2SCAN.

For the energy above the most stable polymorph in this dataset, the calculation gives 1.7 kJ per mole of atoms. The calculation puts the formation energy at 4 meV/atom.

The structure belongs to space group P6_3/mmc (No. 194); the cell edges are 6.9729, 6.9729 and 5.5173 Å and the angles 90.00°, 90.00° and 120.00°. Symmetry generates all atoms from Ho at (0.1702, 0.3405, 0.2500) and Mg at (0.3333, 0.6667, 0.7500).

---

Here is a relaxed structure of Ho3Mg from the Materials Project. Energies are from meta-GGA r2SCAN.

For the energy above the most stable polymorph in this dataset, the calculation gives 0.0 kJ per mole of atoms. The calculation puts the formation energy at -14 meV/atom.

The structure belongs to space group P4/mmm (No. 123); the cell edges are 3.556, 3.556 and 9.249 Å and the angles 90.00°, 90.00° and 90.00°. Symmetry generates all atoms from Ho at (0.000, 0.000, 0.000), Ho at (0.500, 0.500, 0.265) and Mg at (0.000, 0.000, 0.500).

---

Here is a relaxed structure of HoMg5 from the Materials Project. Energies are from meta-GGA r2SCAN.

The calculation puts the formation energy at 0 meV/atom.

The structure belongs to space group C2/m (No. 12); the cell edges are 11.780, 3.667 and 7.052 Å and the angles 90.00°, 107.94° and 90.00°. Symmetry generates all atoms from Ho at (0.000, 0.000, 0.000), Mg at (0.000, 0.000, 0.500), Mg at (0.172, 0.500, 0.346) and Mg at (0.175, 0.500, 0.828).

---

Here is a relaxed structure of HoMg from the Materials Project. Energies are from meta-GGA r2SCAN.

The calculation puts the formation energy at -90 meV/atom.

The structure belongs to space group Pm-3m (No. 221); the cell edges are 3.773, 3.773 and 3.773 Å and the angles 90.00°, 90.00° and 90.00°. Symmetry generates all atoms from Ho at (0.000, 0.000, 0.000) and Mg at (0.500, 0.500, 0.500).

---

Here is a relaxed structure of Ho5Mg24 from the Materials Project. Energies are from meta-GGA r2SCAN.

The calculation puts the formation energy at -41 meV/atom.

The structure belongs to space group I-43m (No. 217); the cell edges are 11.192, 11.192 and 11.192 Å and the angles 90.00°, 90.00° and 90.00°. Symmetry generates all atoms from Ho at (0.000, 0.000, 0.000), Ho at (0.186, 0.186, 0.814), Mg at (0.035, 0.357, 0.357) and Mg at (0.090, 0.090, 0.282).

---

Here is a relaxed structure of HoMg2 from the Materials Project. Energies are from meta-GGA r2SCAN.

The calculation puts the formation energy at -76 meV/atom.

The structure belongs to space group P6_3/mmc (No. 194); the cell edges are 6.0032, 6.0032 and 9.7790 Å and the angles 90.00°, 90.00° and 120.00°. Symmetry generates all atoms from Ho at (0.3333, 0.6667, 0.0638), Mg at (0.0000, 0.0000, 0.0000) and Mg at (0.1709, 0.3419, 0.7500).

---

Here is a relaxed structure of HoMg2 from the Materials Project. Energies are from meta-GGA r2SCAN.

The calculation puts the formation energy at -59 meV/atom.

The structure belongs to space group P6/mmm (No. 191); the cell edges are 5.2032, 5.2032 and 3.2548 Å and the angles 90.00°, 90.00° and 120.00°. Symmetry generates all atoms from Ho at (0.0000, 0.0000, 0.0000) and Mg at (0.3333, 0.6667, 0.5000).

---

Here is a relaxed structure of HoMg2 from the Materials Project. Energies are from meta-GGA r2SCAN.

The calculation puts the formation energy at -80 meV/atom.

The structure belongs to space group Fd-3m (No. 227, origin choice 2); the cell edges are 8.485, 8.485 and 8.485 Å and the angles 90.00°, 90.00° and 90.00°. Symmetry generates all atoms from Ho at (0.125, 0.125, 0.125) and Mg at (0.000, 0.000, 0.500).

---

Here is a relaxed structure of NdHoMg2 from the Materials Project. Energies are from meta-GGA r2SCAN.

The calculation puts the formation energy at -99 meV/atom.

The structure belongs to space group Fm-3m (No. 225); the cell edges are 7.663, 7.663 and 7.663 Å and the angles 90.00°, 90.00° and 90.00°. Symmetry generates all atoms from Nd at (0.000, 0.000, 0.000), Ho at (0.000, 0.000, 0.500) and Mg at (0.250, 0.250, 0.250).

---

Here is a relaxed structure of Ho2MgNi2 from the Materials Project. Energies are from meta-GGA r2SCAN.

The calculation puts the formation energy at -353 meV/atom.

The structure belongs to space group P4/mbm (No. 127); the cell edges are 7.290, 7.290 and 3.679 Å and the angles 90.00°, 90.00° and 90.00°. Symmetry generates all atoms from Ho at (0.170, 0.330, 0.000), Mg at (0.000, 0.000, 0.500) and Ni at (0.121, 0.621, 0.500).

---

Here is a relaxed structure of HoMgPd from the Materials Project. Energies are from meta-GGA r2SCAN.

The calculation puts the formation energy at -699 meV/atom.

The structure belongs to space group P-62m (No. 189); the cell edges are 7.3620, 7.3620 and 4.0753 Å and the angles 90.00°, 90.00° and 120.00°. Symmetry generates all atoms from Ho at (0.0000, 0.5885, 0.0000), Mg at (0.0000, 0.2435, 0.5000), Pd at (0.0000, 0.0000, 0.0000) and Pd at (0.3333, 0.6667, 0.5000).

---

Here is a relaxed structure of Ho2MgSi2 from the Materials Project. Energies are from meta-GGA r2SCAN.

The calculation puts the formation energy at -778 meV/atom.

The structure belongs to space group P4/mbm (No. 127); the cell edges are 7.128, 7.128 and 4.182 Å and the angles 90.00°, 90.00° and 90.00°. Symmetry generates all atoms from Ho at (0.178, 0.322, 0.000), Mg at (0.000, 0.000, 0.500) and Si at (0.118, 0.618, 0.500).

---

Here is a relaxed structure of SmHoMg2 from the Materials Project. Energies are from meta-GGA r2SCAN.

The calculation puts the formation energy at -94 meV/atom.

The structure belongs to space group C2/m (No. 12); the cell edges are 7.620, 7.611 and 5.394 Å and the angles 90.00°, 134.93° and 90.00°. Symmetry generates all atoms from Sm at (0.000, 0.000, 0.000), Ho at (0.000, 0.500, 0.000) and Mg at (0.000, 0.251, 0.500).

---

Here is a relaxed structure of HoMgTl from the Materials Project. Energies are from meta-GGA r2SCAN.

The calculation puts the formation energy at -420 meV/atom.

The structure belongs to space group P-62m (No. 189); the cell edges are 7.4804, 7.4804 and 4.6133 Å and the angles 90.00°, 90.00° and 120.00°. Symmetry generates all atoms from Ho at (0.0000, 0.5707, 0.0000), Mg at (0.0000, 0.2431, 0.5000), Tl at (0.0000, 0.0000, 0.0000) and Tl at (0.3333, 0.6667, 0.5000).

---

Here is a relaxed structure of HoTmMg2 from the Materials Project. Energies are from meta-GGA r2SCAN.

The calculation puts the formation energy at -80 meV/atom.

The structure belongs to space group Fm-3m (No. 225); the cell edges are 7.516, 7.516 and 7.516 Å and the angles 90.00°, 90.00° and 90.00°. Symmetry generates all atoms from Ho at (0.000, 0.000, 0.000), Tm at (0.000, 0.000, 0.500) and Mg at (0.250, 0.250, 0.250).

---

Here is a relaxed structure of HoMgZn2 from the Materials Project. Energies are from meta-GGA r2SCAN.

The calculation puts the formation energy at -353 meV/atom.

The structure belongs to space group Fm-3m (No. 225); the cell edges are 6.746, 6.746 and 6.746 Å and the angles 90.00°, 90.00° and 90.00°. Symmetry generates all atoms from Ho at (0.000, 0.000, 0.000), Mg at (0.000, 0.000, 0.500) and Zn at (0.250, 0.250, 0.250).

---

Here is a relaxed structure of HoMn12 from the Materials Project. Energies are from meta-GGA r2SCAN.

The calculation puts the formation energy at -63 meV/atom.

The structure belongs to space group I4/mmm (No. 139); the cell edges are 8.921, 8.921 and 5.136 Å and the angles 90.00°, 90.00° and 90.00°. Symmetry generates all atoms from Ho at (0.000, 0.000, 0.000), Mn at (0.000, 0.224, 0.500), Mn at (0.000, 0.354, 0.000) and Mn at (0.250, 0.250, 0.250).

---

Here is a relaxed structure of Ho2Mo3O12 from the Materials Project. Energies are from meta-GGA r2SCAN.

The calculation puts the formation energy at -2761 meV/atom.

The structure belongs to space group P-42_1m (No. 113); the cell edges are 7.320, 7.320 and 10.509 Å and the angles 90.00°, 90.00° and 90.00°. Symmetry generates all atoms from Ho at (0.186, 0.314, 0.261), Mo at (0.000, 0.000, 0.000), Mo at (0.207, 0.293, 0.644), O at (0.006, 0.775, 0.705), O at (0.040, 0.192, 0.097), O at (0.126, 0.626, 0.309) and O at (0.194, 0.306, 0.478).